No. 1
U2Te2N | PBE | optimized geometry

Unit cell a=3.1474 b=3.1474 c=14.2859 alpha=90.00 beta=90.00 gamma=90.00
Last column: nearest neighbours and their distance in Å.
Fractional coordinates of all 5 atoms:
U1 0.5000 0.5000 0.1387  1 N 1.98
U2 0.5000 0.5000 0.8613  1 N 1.98
Te1 0.5000 0.5000 0.6418  1 U 3.14, 4 Te 3.15
Te2 0.5000 0.5000 0.3582  1 U 3.14, 4 Te 3.15
N1 0.5000 0.5000 0.0000  2 U 1.98

## Properties
- Symmetry: P4/mmm (123)
- Energy relative to the elements: 5.23 kcal/mol of atoms
- Crystal system: tetragonal
- Spin magnetization: 4.658 μB per formula unit
- Energy with MP2020 corrections: -36.07 eV per cell

No. 2
Ho2Mn17C3 | PBE | optimized geometry

Unit cell a=8.5040 b=8.5040 c=8.2809 alpha=90.00 beta=90.00 gamma=120.00
Last column: nearest neighbours and their distance in Å.
Fractional coordinates of all 44 atoms:
Ho1 0.3333 0.6667 0.2500  3 C 2.48
Ho2 0.6667 0.3333 0.7500  3 C 2.48
Ho3 0.0000 0.0000 0.2500  3 C 2.43
Ho4 0.0000 0.0000 0.7500  3 C 2.43
Mn1 0.3889 0.0612 0.2500  1 C 1.91
Mn2 0.6111 0.9388 0.7500  1 C 1.91
Mn3 0.9388 0.3277 0.2500  1 C 1.91
Mn4 0.0612 0.3889 0.7500  1 C 1.91
Mn5 0.0612 0.6723 0.7500  1 C 1.91
Mn6 0.9388 0.6111 0.2500  1 C 1.91
Mn7 0.6723 0.6111 0.2500  1 C 1.91
Mn8 0.3277 0.9388 0.7500  1 C 1.91
Mn9 0.3277 0.3889 0.7500  1 C 1.91
Mn10 0.6723 0.0612 0.2500  1 C 1.91
Mn11 0.6111 0.6723 0.7500  1 C 1.91
Mn12 0.3889 0.3277 0.2500  1 C 1.91
Mn13 0.3333 0.6667 0.6060  13 Mn 2.38-2.65
Mn14 0.6667 0.3333 0.3940  13 Mn 2.38-2.65
Mn15 0.6667 0.3333 0.1060  13 Mn 2.38-2.65
Mn16 0.3333 0.6667 0.8940  13 Mn 2.38-2.65
Mn17 0.1690 0.3381 0.0258  1 C 1.86
Mn18 0.8310 0.6619 0.9742  1 C 1.86
Mn19 0.6619 0.8310 0.0258  1 C 1.86
Mn20 0.8310 0.6619 0.5258  1 C 1.86
Mn21 0.3381 0.1690 0.9742  1 C 1.86
Mn22 0.1690 0.3381 0.4742  1 C 1.86
Mn23 0.1690 0.8310 0.0258  1 C 1.86
Mn24 0.3381 0.1690 0.5258  1 C 1.86
Mn25 0.8310 0.1690 0.9742  1 C 1.86
Mn26 0.6619 0.8310 0.4742  1 C 1.86
Mn27 0.8310 0.1690 0.5258  1 C 1.86
Mn28 0.1690 0.8310 0.4742  1 C 1.86
Mn29 0.5000 0.0000 0.0000  10 Mn 2.44-2.61
Mn30 0.0000 0.5000 0.0000  10 Mn 2.44-2.61
Mn31 0.5000 0.0000 0.5000  10 Mn 2.44-2.61
Mn32 0.5000 0.5000 0.0000  10 Mn 2.44-2.61
Mn33 0.0000 0.5000 0.5000  10 Mn 2.44-2.61
Mn34 0.5000 0.5000 0.5000  10 Mn 2.44-2.61
C1 0.1653 0.3306 0.2500  4 Mn 1.86-1.91
C2 0.8347 0.6694 0.7500  4 Mn 1.86-1.91
C3 0.6694 0.8347 0.2500  4 Mn 1.86-1.91
C4 0.3306 0.1653 0.7500  4 Mn 1.86-1.91
C5 0.1653 0.8347 0.2500  4 Mn 1.86-1.91
C6 0.8347 0.1653 0.7500  4 Mn 1.86-1.91

## Properties
- Symmetry: P6_3/mmc (194)
- Energy relative to the elements: -2.24 kcal/mol of atoms
- Crystal system: hexagonal
- Spin magnetization: 3.233 μB per formula unit

No. 3
Ti2Cu9B6O22 | PBE | optimized geometry

Unit cell a=7.4651 b=10.7104 c=11.8183 alpha=103.86 beta=98.64 gamma=91.03
Last column: nearest neighbours and their distance in Å.
Fractional coordinates of all 78 atoms:
Ti1 0.8845 0.9148 0.0676  4 O 1.86-1.95
Ti2 0.6105 0.0995 0.9517  5 O 1.88-2.10
Ti3 0.3895 0.9005 0.0483  5 O 1.88-2.10
Ti4 0.1155 0.0852 0.9324  4 O 1.86-1.95
Cu1 0.9464 0.2133 0.6971  4 O 1.90-2.12
Cu2 0.4331 0.2178 0.7116  4 O 1.90-2.05
Cu3 0.0774 0.7650 0.8727  4 O 1.96-2.07
Cu4 0.8688 0.5040 0.6113  4 O 1.95-1.99
Cu5 0.1840 0.3577 0.9812  4 O 1.94-1.98
Cu6 0.3816 0.5009 0.6121  4 O 1.92-1.96
Cu7 0.0536 0.7867 0.3029  4 O 1.90-2.12
Cu8 0.2430 0.0022 0.5105  4 O 1.91-1.94
Cu9 0.1312 0.4960 0.3887  4 O 1.95-1.99
Cu10 0.5669 0.7822 0.2884  4 O 1.90-2.05
Cu11 0.3291 0.6320 0.0103  4 O 1.94-2.00
Cu12 0.9226 0.2350 0.1273  4 O 1.96-2.07
Cu13 0.6709 0.3680 0.9897  4 O 1.94-2.00
Cu14 0.7570 0.9978 0.4895  4 O 1.91-1.94
Cu15 0.3695 0.2325 0.2037  3 O 1.88-1.97
Cu16 0.6305 0.7675 0.7963  3 O 1.88-1.97
Cu17 0.8160 0.6423 0.0188  4 O 1.94-1.98
Cu18 0.6184 0.4991 0.3879  4 O 1.92-1.96
B1 0.1815 0.2595 0.4805  3 O 1.37-1.38
B2 0.4879 0.9348 0.6964  3 O 1.36-1.40
B3 0.0363 0.0728 0.3136  3 O 1.36-1.38
B4 0.3285 0.7444 0.5324  3 O 1.37-1.41
B5 0.5687 0.4962 0.7945  3 O 1.35-1.39
B6 0.4313 0.5038 0.2055  3 O 1.35-1.39
B7 0.9426 0.5039 0.2062  3 O 1.36-1.39
B8 0.9637 0.9272 0.6864  3 O 1.36-1.38
B9 0.6715 0.2556 0.4676  3 O 1.37-1.41
B10 0.5121 0.0652 0.3036  3 O 1.36-1.40
B11 0.8185 0.7405 0.5195  3 O 1.37-1.38
B12 0.0574 0.4961 0.7938  3 O 1.36-1.39
O1 0.9337 0.0534 0.2052  1 B 1.36
O2 0.9066 0.8012 0.6313  2 B 1.38
O3 0.0781 0.9733 0.3659  1 B 1.37
O4 0.4467 0.3982 0.7259  1 B 1.39
O5 0.8093 0.6085 0.4949  1 B 1.37
O6 0.6597 0.2445 0.0850  1 Ti 1.91, 2 Cu 1.94-1.96
O7 0.1907 0.3915 0.5051  1 B 1.37
O8 0.9575 0.3953 0.2515  1 B 1.39
O9 0.2517 0.1891 0.5584  1 B 1.38
O10 0.8320 0.7604 0.9184  3 Cu 1.94-1.99, 1 Ti 2.09
O11 0.3665 0.0547 0.9612  2 Ti 1.90
O12 0.9219 0.0267 0.6341  1 B 1.37
O13 0.4482 0.8051 0.6366  2 B 1.40-1.41
O14 0.2367 0.8166 0.4642  1 B 1.37
O15 0.7483 0.8109 0.4416  1 B 1.38
O16 0.4265 0.7784 0.1394  1 Ti 1.88, 2 Cu 1.90-1.95
O17 0.5533 0.6018 0.2741  1 B 1.39
O18 0.0425 0.6047 0.7485  1 B 1.39
O19 0.8782 0.0792 0.9817  2 Ti 1.95-2.00, 1 Cu 2.07
O20 0.1218 0.9208 0.0183  2 Ti 1.95-2.00, 1 Cu 2.07
O21 0.8405 0.5053 0.1009  1 B 1.36
O22 0.0531 0.6051 0.2815  1 B 1.39
O23 0.9469 0.3949 0.7185  1 B 1.39
O24 0.5869 0.9683 0.3468  1 B 1.36
O25 0.9131 0.7861 0.1497  1 Ti 1.86, 2 Cu 1.94-1.95
O26 0.5818 0.5899 0.7316  1 B 1.39
O27 0.7633 0.1834 0.5358  1 B 1.37
O28 0.6079 0.9512 0.7992  1 B 1.37
O29 0.6845 0.3872 0.4948  1 B 1.37
O30 0.0934 0.1988 0.3687  2 B 1.38
O31 0.1680 0.2396 0.0816  3 Cu 1.94-1.99, 1 Ti 2.09
O32 0.4182 0.4101 0.2684  1 B 1.39
O33 0.6531 0.5049 0.9061  1 B 1.35
O34 0.3469 0.4951 0.0939  1 B 1.35
O35 0.5518 0.1949 0.3634  2 B 1.40-1.41
O36 0.3155 0.6128 0.5052  1 B 1.37
O37 0.3921 0.0488 0.2008  1 B 1.37
O38 0.0663 0.9466 0.7948  1 B 1.36
O39 0.5735 0.2216 0.8606  1 Ti 1.88, 2 Cu 1.90-1.95
O40 0.3403 0.7555 0.9150  1 Ti 1.91, 2 Cu 1.94-1.96
O41 0.6335 0.9453 0.0388  2 Ti 1.90
O42 0.0869 0.2139 0.8503  1 Ti 1.86, 2 Cu 1.94-1.95
O43 0.1595 0.4947 0.8991  1 B 1.36
O44 0.4131 0.0317 0.6532  1 B 1.36

## Properties
- Symmetry: P-1 (2)
- Energy relative to the elements: -46.67 kcal/mol of atoms
- Crystal system: triclinic
- Spin magnetization: 1.004 μB per formula unit
- Energy with MP2020 corrections: -561.10 eV per cell

No. 4
SrCaYBiO6 | PBE | optimized geometry

Unit cell a=5.8640 b=6.0381 c=8.4177 alpha=89.97 beta=89.81 gamma=89.96
Last column: nearest neighbours and their distance in Å.
Fractional coordinates of all 20 atoms:
Sr1 0.5107 0.5498 0.2501  6 O 2.50-2.80
Sr2 0.4893 0.4502 0.7499  6 O 2.50-2.80
Ca1 0.9859 0.0488 0.2485  4 O 2.37-2.46
Ca2 0.0141 0.9512 0.7515  4 O 2.37-2.46
Y1 0.5000 0.0000 0.0000  6 O 2.24-2.29
Y2 0.0000 0.5000 0.5000  6 O 2.26-2.28
Bi1 0.0000 0.5000 0.0000  6 O 2.13-2.16
Bi2 0.5000 0.0000 0.5000  6 O 2.14-2.16
O1 0.1861 0.2039 0.9373  1 Bi 2.16, 1 Y 2.28, 1 Ca 2.41
O2 0.3097 0.7076 0.5540  1 Bi 2.14, 1 Y 2.26
O3 0.8139 0.7961 0.0627  1 Bi 2.16, 1 Y 2.28, 1 Ca 2.41
O4 0.6903 0.2924 0.4460  1 Bi 2.14, 1 Y 2.26
O5 0.2942 0.6960 0.9498  1 Bi 2.13, 1 Y 2.24
O6 0.2046 0.1916 0.5635  1 Bi 2.15, 1 Y 2.28
O7 0.7058 0.3040 0.0502  1 Bi 2.13, 1 Y 2.24
O8 0.7954 0.8084 0.4365  1 Bi 2.15, 1 Y 2.28
O9 0.3807 0.9663 0.2582  1 Bi 2.16, 1 Y 2.29, 1 Ca 2.37
O10 0.0982 0.4416 0.2423  1 Bi 2.15, 1 Y 2.27
O11 0.6193 0.0337 0.7418  1 Bi 2.16, 1 Y 2.29, 1 Ca 2.37
O12 0.9018 0.5584 0.7577  1 Bi 2.15, 1 Y 2.27

## Properties
- Symmetry: P-1 (2)
- Energy relative to the elements: -65.54 kcal/mol of atoms
- Crystal system: triclinic
- Spin magnetization: 0.000 μB per formula unit
- Energy with MP2020 corrections: -144.32 eV per cell